1.
68
Lattice="8.714 0.000 0.000 0.000 8.767 0.000 -8.613 0.000 12.135" Properties=species:S:1:pos:R:3 comment="Fe2P3O12, optimized geometry, DFT GGA+U" space_group="P2_1/c (14)" de_polymorph_mev_per_atom=7 pbc="T T T"
Fe -2.136 0.301 4.623
Fe -6.442 4.083 10.690
Fe 2.193 0.303 1.422
Fe -2.114 4.081 7.489
Fe 2.215 4.687 4.646
Fe -2.092 8.464 10.714
Fe 6.543 4.685 1.445
Fe 2.236 8.466 7.513
P 0.296 6.579 0.049
P -4.010 6.572 6.116
P -5.192 0.978 10.358
P -0.885 3.405 4.290
P -3.348 5.343 10.380
P 0.958 7.807 4.312
P -0.857 0.960 7.823
P 3.449 3.424 1.755
P 0.986 5.362 7.845
P 5.293 7.789 1.778
P 4.111 2.195 6.019
P -0.196 2.188 12.087
O -0.590 5.916 1.128
O -4.897 7.235 7.195
O -7.695 5.520 11.263
O -3.388 7.630 5.195
O -6.007 0.082 9.406
O -1.700 4.302 3.338
O 0.534 1.244 0.831
O -3.772 3.140 6.899
O -1.136 1.908 4.001
O -5.443 2.476 10.068
O -2.883 5.814 6.834
O 1.424 7.337 0.766
O -4.880 5.331 10.568
O -0.574 7.819 4.500
O -5.580 0.637 11.801
O -1.273 3.746 5.733
O -1.518 0.504 6.510
O 2.789 3.879 0.442
O -3.693 0.742 10.119
O 0.614 3.642 4.052
O 1.364 0.012 3.195
O -2.943 4.372 9.263
O 1.425 6.387 3.945
O -2.881 6.764 10.012
O 2.982 2.003 2.123
O -1.325 2.381 8.191
O 3.043 4.395 2.873
O -1.263 8.756 8.940
O -0.513 5.125 8.084
O 3.793 8.025 2.016
O -2.688 4.888 11.693
O 1.619 8.263 5.626
O 1.374 5.021 6.402
O 5.680 8.130 0.335
O 0.675 0.948 7.635
O 4.981 3.436 1.567
O -1.323 1.431 11.369
O 2.983 2.953 5.301
O 5.544 6.291 2.067
O 1.237 6.859 8.135
O 3.873 5.628 5.236
O -0.433 7.523 11.304
O 1.801 4.465 8.797
O 6.108 8.685 2.730
O 3.489 1.137 6.940
O 7.795 3.247 0.873
O 4.997 1.533 4.940
O 0.691 2.851 11.008

2.
48
Lattice="5.232 0.000 0.000 0.085 6.043 0.000 0.342 2.186 16.101" Properties=species:S:1:pos:R:3 comment="Li8Mn5Fe3B8O24, optimized geometry, DFT GGA+U" space_group="P1 (1)" de_polymorph_mev_per_atom=3 pbc="T T T"
Li 0.000 0.000 0.000
Li 0.215 4.107 8.057
Li 1.069 2.332 0.510
Li 1.294 6.446 8.574
Li 2.719 2.046 4.046
Li 2.935 6.165 12.075
Li 3.931 2.452 12.579
Li 3.802 4.388 4.562
Mn 0.365 5.030 10.989
Mn 0.158 0.914 2.939
Mn 2.871 2.972 6.960
Mn 3.084 7.087 14.998
Mn 3.645 3.465 1.643
Fe 1.157 5.518 5.675
Fe 1.295 3.597 13.719
Fe 3.749 1.543 9.707
B 0.242 2.412 5.534
B 0.454 6.527 13.584
B 1.172 2.092 11.099
B 1.053 4.026 3.072
B 2.745 0.365 1.501
B 2.963 4.472 9.557
B 3.893 4.157 15.105
B 3.768 6.086 7.077
O 0.294 4.938 3.823
O 0.443 3.005 11.885
O 0.595 7.311 10.200
O 0.418 3.191 2.152
O 1.086 7.373 14.491
O 0.876 3.254 6.441
O 1.000 1.485 4.801
O 1.217 5.604 12.849
O 1.384 0.462 1.281
O 1.599 4.574 9.337
O 2.415 3.929 3.287
O 2.546 1.986 11.265
O 3.149 5.060 15.871
O 3.043 6.994 7.854
O 3.095 5.261 6.168
O 3.233 3.335 14.186
O 3.383 1.203 2.411
O 3.603 5.308 10.467
O 3.723 3.550 8.822
O 3.593 5.491 0.758
O 4.112 2.514 5.313
O 4.326 6.630 13.355
O 5.257 4.041 15.295
O 5.134 5.968 7.247

3.
32
Lattice="-0.057 -5.113 3.064 -8.222 2.945 4.760 -2.149 -5.009 -2.600" Properties=species:S:1:pos:R:3 comment="Li2TiFeO4, optimized geometry, DFT GGA+U" de_polymorph_mev_per_atom=9 pbc="T T T"
Ti -6.725 -0.960 4.069
Ti -6.754 -3.517 5.601
Ti -3.703 -6.216 1.154
Ti -3.675 -3.660 -0.377
Li -0.029 -2.556 1.532
Li -5.200 -2.310 1.846
Li -9.297 0.441 3.460
Li -10.371 -2.064 2.160
Li -4.125 0.195 3.146
Li -5.229 -4.867 3.378
Li -4.154 -2.362 4.678
Li -1.103 -5.061 0.232
O -8.435 -4.032 4.710
O -5.987 -0.281 2.317
O -7.435 0.917 4.289
O -8.406 -1.475 3.179
O -6.015 -2.838 3.849
O -1.994 -3.146 0.513
O -2.993 -8.093 0.934
O -2.023 -5.702 2.045
O -7.464 -1.640 5.821
O -2.965 -5.537 -0.598
O -7.166 -2.898 0.827
O -7.194 -5.455 2.359
O -4.413 -4.339 1.375
O -3.234 -1.721 2.864
O -4.442 -6.895 2.906
O -3.263 -4.277 4.396
Fe -2.600 -1.155 0.923
Fe -7.829 -6.022 4.301
Fe -7.800 -3.465 2.769
Fe -2.629 -3.712 2.455

4.
19
Lattice="5.712 0.000 0.000 -2.261 5.361 0.000 -1.217 -2.885 6.970" Properties=species:S:1:pos:R:3 comment="MgMn6O10F2, optimized geometry, DFT GGA+U" space_group="P1 (1)" de_polymorph_mev_per_atom=0 pbc="T T T"
Mg 0.000 0.000 0.000
Mn -2.870 3.913 3.492
Mn 4.579 2.679 0.008
Mn 0.373 1.762 2.405
Mn -1.027 2.762 5.546
Mn 3.264 -0.298 1.437
Mn 1.860 0.703 4.576
O -0.596 -0.021 2.112
O 0.493 1.844 0.521
O -0.364 4.529 0.153
O 1.055 -1.035 4.405
O 0.237 1.614 4.323
O 1.997 0.850 2.658
O 1.177 3.501 2.581
O 2.597 -2.060 6.831
O 1.737 0.628 6.461
O 2.834 2.484 4.869
F -1.407 2.637 2.194
F 3.638 -0.177 4.789

5.
24
Lattice="4.766 0.000 0.000 -0.474 5.705 0.000 -0.360 -0.962 10.328" Properties=species:S:1:pos:R:3 comment="MnOF, optimized geometry, DFT GGA+U" total_energy_ev_per_atom=-6.723 space_group="P-1 (2)" pbc="T T T"
Mn 0.000 0.000 0.000
Mn -0.417 2.371 5.164
Mn -0.278 0.699 7.616
Mn 2.077 1.175 2.470
Mn 2.203 -0.481 5.164
Mn 2.146 2.852 0.000
Mn 1.856 3.567 7.858
Mn 4.210 4.044 2.712
O 0.536 0.853 5.912
O 1.289 1.219 0.695
O 0.881 5.261 3.382
O 0.951 1.988 8.552
O 2.981 2.755 1.777
O 3.051 -0.518 6.947
O 2.643 3.524 9.633
O 3.397 3.890 4.416
F 0.450 4.121 0.954
F 0.180 4.742 8.534
F 0.630 2.380 3.445
F 0.899 3.585 6.072
F 3.033 1.158 4.256
F 3.302 2.362 6.884
F 3.752 0.001 1.795
F 3.483 0.622 9.375

6.
76
Lattice="5.460 0.000 0.000 0.000 27.156 0.000 -2.026 0.000 6.331" Properties=species:S:1:pos:R:3 comment="LiMn6P7O24, optimized geometry, DFT GGA+U" total_energy_ev_per_atom=-7.521 space_group="P2_1/m (11)" pbc="T T T"
Li -0.352 6.789 2.883
Li 3.787 20.367 3.448
Mn 0.128 18.495 1.778
Mn 0.128 22.239 1.778
Mn -0.366 14.806 4.343
Mn -0.366 25.928 4.343
Mn 0.962 2.654 0.555
Mn 0.962 10.925 0.555
Mn 2.472 16.232 5.775
Mn 2.472 24.503 5.775
Mn 3.800 1.228 1.988
Mn 3.800 12.350 1.988
Mn 3.306 4.917 4.553
Mn 3.306 8.661 4.553
P -0.290 18.138 5.142
P -0.290 22.596 5.142
P 1.185 14.233 1.299
P 1.185 26.501 1.299
P 0.477 2.952 3.914
P 0.477 10.626 3.914
P 0.764 6.789 5.719
P 2.670 20.367 0.612
P 2.957 16.530 2.417
P 2.957 24.204 2.417
P 2.249 0.655 5.031
P 2.249 12.923 5.031
P 3.724 4.560 1.189
P 3.724 9.018 1.189
O -1.557 18.025 6.001
O -1.557 22.710 6.001
O -0.560 18.854 3.817
O -0.560 21.880 3.817
O -1.309 14.864 6.310
O -1.309 25.870 6.310
O -0.030 2.576 2.511
O -0.030 11.002 2.511
O 0.062 14.182 2.342
O 0.062 26.552 2.342
O -0.699 3.316 4.849
O -0.699 10.262 4.849
O -0.489 6.789 4.852
O 1.342 20.367 1.359
O 0.520 16.850 5.019
O 0.520 23.885 5.019
O 1.884 0.705 1.111
O 1.884 12.873 1.111
O 1.021 1.552 4.504
O 1.021 12.026 4.504
O 1.871 17.572 2.434
O 1.871 23.163 2.434
O 0.756 19.113 5.976
O 0.756 21.622 5.976
O 2.678 5.535 0.354
O 2.678 8.043 0.354
O 1.563 3.994 3.897
O 1.563 9.584 3.897
O 2.413 15.130 1.827
O 2.413 25.604 1.827
O 1.550 14.283 5.220
O 1.550 26.452 5.220
O 2.914 3.272 1.312
O 2.914 10.306 1.312
O 2.092 6.789 4.971
O 3.923 20.367 1.479
O 4.133 16.894 1.482
O 4.133 23.840 1.482
O 3.372 0.604 3.989
O 3.372 12.974 3.989
O 3.464 16.154 3.820
O 3.464 24.580 3.820
O 4.743 1.286 0.021
O 4.743 12.292 0.021
O 3.994 5.276 2.514
O 3.994 8.302 2.514
O 4.991 4.446 0.330
O 4.991 9.132 0.330